# SbSe2SN2F6, optimized geometry, DFT PBE
# ΔE_f: -1424 meV/atom
# Energy with MP2020 corrections: -484.05 eV/cell
# Crystal system: monoclinic
data_SbSe2SN2F6
_space_group_name_H-M_alt 'P 1 21/c 1'
_space_group_IT_number 14
_cell_length_a 10.1837
_cell_length_b 16.9758
_cell_length_c 13.8233
_cell_angle_alpha 90.00
_cell_angle_beta 129.16
_cell_angle_gamma 90.00
loop_
_space_group_symop_operation_xyz
'x,y,z'
'-x,-y,-z'
'-x,y+1/2,-z+1/2'
'x,-y+1/2,z+1/2'
loop_
_atom_site_label
_atom_site_fract_x
_atom_site_fract_y
_atom_site_fract_z
Sb1 0.0747 0.0592 0.3086
Sb2 0.3896 0.1497 0.1357
Se1 0.1595 0.6949 0.0353
Se2 0.2225 0.6233 0.6050
Se3 0.3268 0.7058 0.9649
Se4 0.3854 0.6144 0.5318
S1 0.0386 0.1921 0.7353
S2 0.4124 0.1081 0.6972
N1 0.0353 0.1879 0.6206
N2 0.1427 0.6992 0.8036
N3 0.4074 0.6163 0.7656
N4 0.4182 0.1056 0.8129
F1 0.0440 0.1337 0.3979
F2 0.0553 0.6299 0.3367
F3 0.0975 0.5126 0.7129
F4 0.1343 0.5099 0.2538
F5 0.1639 0.1364 0.0780
F6 0.1977 0.5108 0.9492
F7 0.2776 0.1130 0.3668
F8 0.3183 0.2415 0.0329
F9 0.3457 0.0853 0.0040
F10 0.3837 0.6684 0.3065
F11 0.4520 0.2159 0.2744
F12 0.4677 0.0601 0.2426